# 1
VASP calculation (PBE) on an optimized crystal structure of SrCl2.

Geometry as CIF:
```
data_SrCl2
_chemical_formula_sum 'Sr4 Cl8'
_symmetry_space_group_name_H-M 'F m -3 m'
_symmetry_Int_Tables_number 225
_symmetry_space_group_name_Hall '-F 4 2 3'
_cell_length_a 7.047
_cell_length_b 7.047
_cell_length_c 7.047
_cell_angle_alpha 90.00
_cell_angle_beta 90.00
_cell_angle_gamma 90.00
loop_
_atom_site_label
_atom_site_type_symbol
_atom_site_fract_x
_atom_site_fract_y
_atom_site_fract_z
_atom_site_occupancy
Sr1 Sr 0.000 0.000 0.000 1
Cl1 Cl 0.250 0.250 0.250 1
```

# 2
VASP calculation (PBE) on an optimized crystal structure of Sr25Cl52.

Geometry as CIF:
```
data_Sr25Cl52
_chemical_formula_sum 'Sr25 Cl52'
_symmetry_space_group_name_H-M 'P -1'
_symmetry_Int_Tables_number 2
_symmetry_space_group_name_Hall '-P 1'
_cell_length_a 8.654
_cell_length_b 13.238
_cell_length_c 20.645
_cell_angle_alpha 108.65
_cell_angle_beta 94.03
_cell_angle_gamma 96.25
loop_
_atom_site_label
_atom_site_type_symbol
_atom_site_fract_x
_atom_site_fract_y
_atom_site_fract_z
_atom_site_occupancy
Sr1 Sr 0.000 0.000 0.000 1
Sr2 Sr 0.037 0.319 0.922 1
Sr3 Sr 0.088 0.640 0.840 1
Sr4 Sr 0.118 0.964 0.760 1
Sr5 Sr 0.161 0.281 0.680 1
Sr6 Sr 0.200 0.600 0.600 1
Sr7 Sr 0.240 0.919 0.520 1
Sr8 Sr 0.276 0.235 0.439 1
Sr9 Sr 0.328 0.561 0.361 1
Sr10 Sr 0.358 0.883 0.280 1
Sr11 Sr 0.401 0.202 0.200 1
Sr12 Sr 0.441 0.520 0.120 1
Sr13 Sr 0.481 0.843 0.043 1
Cl1 Cl 0.010 0.830 0.230 1
Cl2 Cl 0.019 0.488 0.688 1
Cl3 Cl 0.050 0.150 0.150 1
Cl4 Cl 0.070 0.810 0.610 1
Cl5 Cl 0.090 0.470 0.070 1
Cl6 Cl 0.109 0.129 0.530 1
Cl7 Cl 0.130 0.790 0.990 1
Cl8 Cl 0.149 0.450 0.450 1
Cl9 Cl 0.170 0.110 0.910 1
Cl10 Cl 0.190 0.770 0.370 1
Cl11 Cl 0.204 0.426 0.833 1
Cl12 Cl 0.230 0.090 0.289 1
Cl13 Cl 0.246 0.757 0.750 1
Cl14 Cl 0.259 0.408 0.208 1
Cl15 Cl 0.289 0.070 0.670 1
Cl16 Cl 0.310 0.730 0.130 1
Cl17 Cl 0.327 0.384 0.584 1
Cl18 Cl 0.350 0.050 0.050 1
Cl19 Cl 0.369 0.710 0.510 1
Cl20 Cl 0.380 0.540 0.740 1
Cl21 Cl 0.390 0.370 0.970 1
Cl22 Cl 0.410 0.030 0.430 1
Cl23 Cl 0.433 0.696 0.896 1
Cl24 Cl 0.444 0.346 0.353 1
Cl25 Cl 0.470 0.009 0.809 1
Cl26 Cl 0.486 0.677 0.270 1
```

# 3
VASP calculation (PBE) on an optimized crystal structure of Sr2TlCl5.

Geometry as CIF:
```
data_Sr2TlCl5
_chemical_formula_sum 'Sr8 Tl4 Cl20'
_symmetry_space_group_name_H-M 'P 1 21/c 1'
_symmetry_Int_Tables_number 14
_symmetry_space_group_name_Hall '-P 2ybc'
_cell_length_a 9.025
_cell_length_b 8.002
_cell_length_c 12.917
_cell_angle_alpha 90.00
_cell_angle_beta 90.15
_cell_angle_gamma 90.00
loop_
_atom_site_label
_atom_site_type_symbol
_atom_site_fract_x
_atom_site_fract_y
_atom_site_fract_z
_atom_site_occupancy
Sr1 Sr 0.002 0.024 0.177 1
Sr2 Sr 0.247 0.567 0.005 1
Tl1 Tl 0.496 0.518 0.326 1
Cl1 Cl 0.039 0.159 0.398 1
Cl2 Cl 0.212 0.163 0.684 1
Cl3 Cl 0.212 0.551 0.503 1
Cl4 Cl 0.222 0.694 0.786 1
Cl5 Cl 0.468 0.159 0.410 1
```

# 4
VASP calculation (PBE) on an optimized crystal structure of SrZnCl2.

Geometry as CIF:
```
data_SrZnCl2
_chemical_formula_sum 'Sr8 Zn8 Cl16'
_symmetry_space_group_name_H-M 'I 41/a m d'
_symmetry_Int_Tables_number 141
_cell_length_a 9.205
_cell_length_b 9.205
_cell_length_c 13.063
_cell_angle_alpha 90.00
_cell_angle_beta 90.00
_cell_angle_gamma 90.00
loop_
_symmetry_equiv_pos_as_xyz
'x,y,z'
'-x,-y,-z'
'-y+1/4,x+3/4,z+1/4'
'y+1/4,-x+3/4,-z+1/4'
'-x+1/2,-y,z+1/2'
'x+1/2,y,-z+1/2'
'y+1/4,-x+1/4,z+3/4'
'-y+1/4,x+1/4,-z+3/4'
'x,-y,-z'
'-x,y,z'
'-y+1/4,-x+1/4,-z+3/4'
'y+1/4,x+1/4,z+3/4'
'-x+1/2,y,-z+1/2'
'x+1/2,-y,z+1/2'
'y+1/4,x+3/4,-z+1/4'
'-y+1/4,-x+3/4,z+1/4'
'x+1/2,y+1/2,z+1/2'
'-x+1/2,-y+1/2,-z+1/2'
'-y+3/4,x+1/4,z+3/4'
'y+3/4,-x+1/4,-z+3/4'
'-x,-y+1/2,z'
'x,y+1/2,-z'
'y+3/4,-x+3/4,z+1/4'
'-y+3/4,x+3/4,-z+1/4'
'x+1/2,-y+1/2,-z+1/2'
'-x+1/2,y+1/2,z+1/2'
'-y+3/4,-x+3/4,-z+1/4'
'y+3/4,x+3/4,z+1/4'
'-x,y+1/2,-z'
'x,-y+1/2,z'
'y+3/4,x+1/4,-z+3/4'
'-y+3/4,-x+1/4,z+3/4'
loop_
_atom_site_label
_atom_site_type_symbol
_atom_site_fract_x
_atom_site_fract_y
_atom_site_fract_z
_atom_site_occupancy
Sr1 Sr 0.000 0.000 0.000 1
Zn1 Zn 0.000 0.000 0.500 1
Cl1 Cl 0.000 0.049 0.776 1
```

no.,ΔE_f (eV per atom),E (MP2020) (eV/atom)
1,-2.895,-4.69
2,-2.794,-4.59
3,-2.501,-4.37
4,-1.831,-3.49